Entry 1:
Material: Fe13Si2Sb2O28
Method: DFT, PBE+U
State: relaxed

Unit cell a=5.6458 b=8.9676 c=11.5820 alpha=84.45 beta=81.12 gamma=78.54
Positions (direct):
Fe 0.9312 0.6584 0.6965
Fe 0.6648 0.3383 0.1310
Fe 0.3311 0.3796 0.7240
Fe 0.0696 0.3400 0.3038
Fe 0.3360 0.6601 0.8693
Fe 0.2454 0.0649 0.4502
Fe 0.2266 0.6526 0.1656
Fe 0.0006 0.9992 0.0002
Fe 0.4429 0.9869 0.1476
Fe 0.7741 0.3460 0.8348
Fe 0.6698 0.6188 0.2764
Fe 0.5582 0.0115 0.8527
Fe 0.7556 0.9335 0.5501
Si 0.2252 0.3102 0.0092
Si 0.7757 0.6882 0.9912
Sb 0.8877 0.9787 0.2823
Sb 0.1133 0.0197 0.7180
O 0.7278 0.3884 0.2751
O 0.2071 0.2896 0.4335
O 0.9293 0.3525 0.0012
O 0.3006 0.1234 0.0073
O 0.7938 0.7088 0.5667
O 0.2730 0.6099 0.7252
O 0.9443 0.0999 0.5807
O 0.0567 0.8985 0.4195
O 0.7004 0.8750 0.9931
O 0.1390 0.8818 0.1521
O 0.3065 0.3668 0.1290
O 0.0020 0.5597 0.2884
O 0.3865 0.9493 0.5944
O 0.7367 0.1136 0.1485
O 0.6136 0.6033 0.1010
O 0.0716 0.6459 0.9991
O 0.2643 0.8848 0.8518
O 0.8620 0.1166 0.8482
O 0.6145 0.0490 0.4059
O 0.1331 0.1245 0.2746
O 0.8678 0.8739 0.7257
O 0.3873 0.3950 0.8994
O 0.3271 0.1647 0.7504
O 0.6410 0.3586 0.6783
O 0.6944 0.6316 0.8714
O 0.6739 0.8337 0.2499
O 0.9989 0.4386 0.7120
O 0.3600 0.6398 0.3220

Values from the calculation:
total DFT energy (no corrections): -294.32 eV/cell
V: 12.6 Å³/atom
energy above the lowest structure with this stoichiometry: 0.0 meV/atom
space-group type: No. 2
spin magnetization: 60.0 μB/f.u.

---

Entry 2:
Material: Fe13Si2Sb2O28
Method: DFT, PBE+U
State: relaxed

Unit cell a=5.6237 b=8.8119 c=11.4920 alpha=87.20 beta=75.96 gamma=78.52
Positions (direct):
Fe 0.9654 0.6357 0.6794
Fe 0.6479 0.3550 0.1465
Fe 0.3608 0.3614 0.6824
Fe 0.0346 0.3643 0.3206
Fe 0.3521 0.6450 0.8535
Fe 0.2841 0.9952 0.4369
Fe 0.2061 0.6437 0.1528
Fe 0.0000 0.0000 0.0000
Fe 0.4220 0.0011 0.1496
Fe 0.7939 0.3563 0.8472
Fe 0.6392 0.6386 0.3176
Fe 0.5780 0.9989 0.8504
Fe 0.7159 0.0048 0.5631
Si 0.2332 0.3137 0.0013
Si 0.7668 0.6863 0.9987
Sb 0.8549 0.0013 0.2890
Sb 0.1451 0.9987 0.7110
O 0.7017 0.4067 0.2909
O 0.2136 0.3508 0.4180
O 0.9303 0.3564 0.0078
O 0.3036 0.1231 0.9993
O 0.7864 0.6492 0.5820
O 0.2983 0.5933 0.7091
O 0.0083 0.0997 0.5773
O 0.9917 0.9003 0.4227
O 0.6964 0.8769 0.0007
O 0.1147 0.8863 0.1547
O 0.3072 0.3782 0.1197
O 0.9879 0.5859 0.2982
O 0.4201 0.8962 0.5777
O 0.7213 0.1248 0.1561
O 0.5957 0.6146 0.1201
O 0.0697 0.6436 0.9922
O 0.2787 0.8752 0.8439
O 0.8853 0.1137 0.8453
O 0.5799 0.1038 0.4223
O 0.1188 0.1352 0.2887
O 0.8812 0.8648 0.7113
O 0.4043 0.3854 0.8799
O 0.4120 0.1302 0.7130
O 0.6288 0.3469 0.5794
O 0.6928 0.6218 0.8803
O 0.5880 0.8698 0.2870
O 0.0121 0.4141 0.7018
O 0.3712 0.6531 0.4206

Values from the calculation:
total DFT energy (no corrections): -270.93 eV/cell
V: 12.0 Å³/atom
energy above the lowest structure with this stoichiometry: 519.9 meV/atom
space-group type: No. 2
spin magnetization: 3.1 μB/f.u.